Computed, not measured: an optimized crystal structure of Ba2Si3Ge5O18 at the PBE level of DFT.

The magnetization is 0.001 μB/f.u. For the MP2020-corrected energy, the calculation gives -208.04 eV per cell. The value obtained for the energy of formation is -2.71 eV per atom. For the total DFT energy (no corrections), the calculation gives -6.988 eV per atom.

Unit cell a=6.7719 b=6.7719 c=9.8603 alpha=90.00 beta=90.00 gamma=120.00
Space group P-6 (No. 174)
One atom of each set of equivalent atoms:
Ba  0.0000  0.0000  0.2487 [2 per cell]
Si  0.4575  0.4151  0.0000 [3 per cell]
Ge  0.3333  0.6667  0.2417 [2 per cell]
Ge  0.4521  0.0239  0.5000 [3 per cell]
O  0.0971  0.6664  0.1372 [6 per cell]
O  0.1153  0.4232  0.3517 [6 per cell]
O  0.3829  0.2488  0.5000 [3 per cell]
O  0.4106  0.1480  0.0000 [3 per cell]